The following is a PBE calculation of a relaxed structure of BaY4Si5O17, from the Materials Project.

Values from the calculation:
size of the total moment = 0.01 μB/cell
corrected total energy (MP2020 scheme) = -473.7 eV for the cell shown
ΔE_f = -3623 meV/atom
calculated volume = 746.1 Å³/cell

abc: 5.5955 20.0295 6.9493
angles: 90.00 106.68 90.00
Space group P2_1/m (No. 11)
Asymmetric unit:
Ba  0.2442  0.2500  0.3096
Y  0.3018  0.0388  0.6175
Y  0.3523  0.6582  0.0182
Si  0.0634  0.2500  0.7810
Si  0.1962  0.0607  0.0948
Si  0.2287  0.6357  0.4920
O  0.0000  0.0000  0.0000
O  0.0170  0.1839  0.6306
O  0.0419  0.1278  0.1149
O  0.1020  0.5636  0.5167
O  0.1329  0.7500  0.0836
O  0.3559  0.2500  0.9177
O  0.3619  0.6733  0.7029
O  0.3687  0.0733  0.9402
O  0.3745  0.0342  0.3125
O  0.4204  0.6295  0.3515